Below is a relaxed Na4CaSn3P6O24 crystal, with properties calculated at the GGA-PBE level.

```
114
Lattice="8.9556 0.0000 0.0000 4.4604 7.7705 0.0000 0.0302 -0.0025 22.7743" Properties=species:S:1:pos:R:3 pbc="T T T"
Na 0.0000 0.0000 0.0000
Na 0.0915 0.1081 11.4155
Na 3.2228 5.0888 1.9583
Na 5.6656 5.0873 13.3063
Na 2.9505 0.2625 1.9626
Na 4.3672 2.5805 15.3597
Na 4.5891 2.5842 3.9848
Na 8.8897 5.2834 7.7285
Na 7.2640 2.4311 1.9693
Na 6.1053 0.3324 13.3115
Na 8.9703 5.1800 19.1994
Na 10.5401 2.9091 5.8619
Ca 4.4097 2.5837 11.9033
Ca 4.4675 2.5938 0.3277
Ca 8.9097 5.2430 4.5085
Sn 4.4871 7.7672 19.4982
Sn 4.4528 7.7368 8.2102
Sn 13.4075 7.7514 3.6325
Sn 0.0486 0.0332 15.0022
Sn 4.5048 2.5918 18.7868
Sn 4.5265 2.5862 7.4415
Sn 8.9728 5.1843 22.4734
Sn 8.9774 5.1533 11.0713
Sn 8.9826 5.1617 15.8846
P 1.3704 2.2876 17.2645
P 3.2466 5.4314 5.9204
P 3.1236 4.9678 21.0230
P 1.7620 2.5973 9.6010
P 2.6299 0.0852 5.9400
P 5.7924 5.4581 17.2335
P 3.1367 0.2082 21.0232
P 5.8519 4.9433 9.6976
P 6.2940 5.2283 2.0723
P 7.6312 7.3677 13.5282
P 5.8373 0.2298 9.6991
P 7.2438 2.5888 21.0252
P 10.3166 7.4596 2.0645
P 7.7514 2.9096 13.5125
P 6.3268 0.0273 17.2366
P 7.5735 2.2088 5.9089
P 11.5480 5.2353 13.5421
P 10.2319 2.8513 2.1276
O 0.8071 1.3751 9.4518
O 3.7404 6.3761 20.7811
O 1.1608 1.4374 15.9715
O 3.7921 6.0306 4.5556
O 2.6287 2.8072 8.2965
O 3.6606 4.5031 22.3629
O 3.4298 4.0098 19.8198
O 2.5607 2.3561 10.8469
O 3.5665 4.0702 13.4742
O 2.7820 2.6310 1.9344
O 2.9097 2.4352 17.4044
O 1.6073 0.0411 20.7857
O 5.2396 6.3642 9.4999
O 1.8060 0.3277 4.5925
O 3.9569 4.0383 6.0073
O 5.4489 6.5707 2.1782
O 6.1273 7.7422 7.1192
O 5.1879 6.0532 15.9114
O 6.0610 7.4252 13.6349
O 5.5365 6.3859 18.4245
O 3.4281 1.4368 6.0190
O 3.2694 0.9052 22.3650
O 5.3117 4.4346 11.0201
O 5.1405 4.0568 17.3856
O 5.3286 4.0476 1.9046
O 3.8106 0.9555 19.8188
O 5.5532 4.0197 8.4673
O 3.8163 0.9656 13.4560
O 7.1809 5.5210 0.7925
O 7.8287 6.4674 12.2687
O 7.9859 6.6585 5.9389
O 7.3404 5.3142 17.1473
O 7.1322 4.9689 3.2900
O 8.2464 6.6990 14.7812
O 8.2763 6.5676 21.0572
O 7.4106 5.0774 9.7180
O 5.1773 0.9436 8.4677
O 6.2272 2.7431 13.4469
O 6.2661 2.8093 19.8170
O 5.3105 1.1152 1.9054
O 5.4391 1.2922 17.3877
O 6.0267 2.3021 6.0259
O 5.6813 0.9592 11.0204
O 6.5707 2.3595 22.3646
O 9.6902 6.8553 3.2864
O 7.9981 3.7828 14.7649
O 9.6338 6.5827 9.7287
O 8.1316 3.8802 21.0670
O 9.8932 6.5257 17.1541
O 8.2569 3.5601 5.8921
O 8.3525 3.5409 12.2313
O 10.1135 6.5480 0.7869
O 7.7925 1.4270 4.5444
O 7.1405 0.2503 15.9141
O 7.3706 0.0422 9.4965
O 8.1464 1.3439 20.7876
O 11.7197 7.5618 18.4266
O 8.2126 1.4501 7.0718
O 10.6672 5.5015 12.2765
O 9.5324 3.5334 0.8822
O 9.6652 3.6952 17.1612
O 8.4014 1.4817 13.6161
O 10.5173 5.0826 21.0614
O 11.9021 7.5211 2.1581
O 9.8390 3.8944 9.6804
O 10.7034 5.2093 5.9115
O 10.6861 5.0628 14.8088
O 10.0320 3.6293 3.4105
O 12.3933 6.5906 13.6254
O 9.5088 1.4389 2.1767
O 9.6638 1.6313 18.4775
O 12.5351 6.3317 7.1026
```

Values from the calculation:
Calculated volume: 1585 Å³/cell
Formation enthalpy at 0 K: -98.8 eV per formula unit
Space group: No. 1
Total magnetization: 0.0 μB/f.u.

Below is a relaxed LiCuPO4 crystal, with properties calculated at the GGA-PBE level.

```
56
Lattice="7.4940 0.0000 0.0000 0.0000 4.8591 0.0000 -0.6993 0.0000 17.8618" Properties=species:S:1:pos:R:3 pbc="T T T"
Li -0.2124 0.7575 5.7616
Li -0.5621 1.6720 14.6925
Li 3.6733 3.5461 1.5707
Li 3.3237 3.7425 10.5016
Li 3.4711 1.1165 7.3602
Li 3.1214 1.3130 16.2911
Li 7.3568 3.1870 3.1692
Li 7.0072 4.1016 12.1001
Cu 0.9932 1.2082 0.2399
Cu 0.6436 1.2213 9.1708
Cu 2.2352 3.5222 4.8991
Cu 1.8856 3.7663 13.8299
Cu 4.9091 1.0927 4.0318
Cu 4.5595 1.3368 12.9627
Cu 6.1512 3.6377 8.6910
Cu 5.8015 3.6508 17.6219
P 1.2034 3.4781 16.7359
P 1.5530 3.8105 7.8050
P 1.8526 0.8061 3.2345
P 1.5029 1.6234 12.1654
P 5.2918 3.2357 5.6964
P 4.9422 4.0529 14.6273
P 5.2418 1.0486 10.0568
P 5.5914 1.3810 1.1259
O -0.2560 2.8428 16.5594
O 0.0937 4.4458 7.6285
O 0.7626 0.0323 4.0647
O 0.4130 2.3972 12.9956
O 1.1639 0.1765 16.6376
O 1.5136 2.2530 7.7067
O 1.3363 0.1008 12.3535
O 1.6860 2.3287 3.4226
O 1.8533 0.3864 1.7498
O 1.5037 2.0431 10.6807
O 2.4503 2.9630 0.1882
O 2.1006 4.3256 9.1191
O 2.0165 2.8896 15.5491
O 2.3662 4.3990 6.6183
O 3.1985 0.2245 3.7896
O 2.8488 2.2050 12.7205
O 3.9459 2.6540 5.1413
O 3.5963 4.6346 14.0722
O 4.4286 0.4600 11.2435
O 4.7782 1.9695 2.3126
O 4.6941 0.5334 8.7427
O 4.3445 1.8961 17.6736
O 5.2911 2.8159 7.1811
O 4.9415 4.4727 16.1120
O 5.1088 2.5303 14.4392
O 5.4584 4.7583 5.5083
O 5.2812 2.6060 10.1551
O 5.6308 4.6825 1.2242
O 6.3817 2.4619 4.8662
O 6.0321 4.8267 13.7971
O 6.7011 0.4132 10.2333
O 7.0507 2.0163 1.3024
```

Values from the calculation:
Calculated volume: 650 Å³/cell
Formation enthalpy at 0 K: -15.1 eV per formula unit
Polymorph energy (0 for the lowest one): 0.039 eV/atom
Space group: No. 14
Total magnetization: 1.0 μB/f.u.